Entry 1:
## SiO2 (PBE-GGA)

Data for SiO2 after structural relaxation.

Cell and atoms, written as extended XYZ:
```
18
Lattice="3.7845 -8.1627 0.0000 3.7845 8.1627 0.0000 0.0000 0.0000 5.2753" Properties=species:S:1:pos:R:3 pbc="T T T"
Si 3.7845 7.2328 3.9565
Si 2.2213 3.2032 1.3188
Si 2.2213 -3.2032 3.9565
Si 5.3477 3.2032 1.3188
Si 5.3477 -3.2032 3.9565
Si 3.7845 -7.2328 1.3188
O 0.0000 0.0000 0.0000
O 0.0000 0.0000 2.6377
O 1.8923 4.0813 0.0000
O 1.8923 4.0813 2.6377
O 1.3364 1.8492 1.3188
O 1.3364 -1.8492 3.9565
O 3.7845 2.7718 1.3188
O 1.8923 -4.0813 0.0000
O 1.8923 -4.0813 2.6377
O 3.7845 -2.7718 3.9565
O 6.2326 1.8492 1.3188
O 6.2326 -1.8492 3.9565
```

Properties
- Space group: No. 63

Entry 2:
## Ag2SO4 (PBE-GGA)

Data for Ag2SO4 after structural relaxation.

Cell and atoms, written as extended XYZ:
```
14
Lattice="0.0000 5.7171 6.2448 2.8501 0.0000 6.2448 2.8501 5.7171 0.0000" Properties=species:S:1:pos:R:3 pbc="T T T"
Ag 2.1376 0.8550 4.6836
Ag 3.5626 3.7135 7.8060
Ag 2.1376 7.7208 4.6836
Ag 3.5626 10.5793 7.8060
S 2.1376 4.2879 4.6836
S 3.5626 7.1464 7.8060
O 2.9905 3.4067 5.5479
O 2.9905 5.1690 3.8192
O 4.4155 6.2653 6.9416
O 1.2846 3.4067 3.8192
O 4.4155 8.0276 8.6703
O 1.2846 5.1690 5.5479
O 2.7097 6.2653 8.6703
O 2.7097 8.0276 6.9416
```

Properties
- Energy above the lowest structure with this stoichiometry: 0.0 meV per atom
- Space group: No. 70

Entry 3:
## Cu4AgAs3O12 (PBE-GGA)

Data for Cu4AgAs3O12 after structural relaxation.

Cell and atoms, written as extended XYZ:
```
40
Lattice="6.1330 -6.2805 0.0000 6.1330 6.2805 0.0000 -3.6540 0.0000 6.6513" Properties=species:S:1:pos:R:3 pbc="T T T"
Cu 3.3925 6.1944 4.9885
Cu 2.0998 1.9761 2.3844
Cu 5.2195 3.3249 1.6628
Cu 0.2728 -1.9761 5.7101
Cu 8.3392 1.9761 0.9412
Cu 3.3925 -3.3249 4.9885
Cu 6.5122 -1.9761 4.2669
Cu 5.2195 -6.1944 1.6628
Ag 3.3925 0.1422 4.9885
Ag 5.2195 -0.1422 1.6628
As 0.1155 1.5000 5.8788
As 3.3925 3.4323 4.9885
As 1.9425 -1.5000 2.5532
As 6.6695 1.5000 4.0981
As 5.2195 -3.4323 1.6628
As 8.4965 -1.5000 0.7725
O -1.6008 1.3945 5.4929
O 2.1629 4.7331 4.9092
O 0.8804 2.4338 4.6429
O 3.8890 2.1174 0.8422
O 0.2262 -1.3945 2.1673
O 4.6220 4.7331 5.0678
O 3.6185 2.5129 3.5627
O 2.6654 0.0706 2.6070
O 0.8384 -0.0706 5.9327
O 3.1665 2.5129 6.4142
O 2.7074 -2.4338 1.3173
O 6.5499 2.1174 2.4834
O 2.0620 -2.1174 4.1679
O 5.9046 2.4338 5.3340
O 5.4454 -2.5129 0.2371
O 7.7735 0.0706 0.7186
O 5.9466 -0.0706 4.0443
O 4.9935 -2.5129 3.0886
O 3.9899 -4.7331 1.5835
O 8.3857 1.3945 4.4840
O 4.7230 -2.1174 5.8091
O 7.7316 -2.4338 2.0084
O 6.4490 -4.7331 1.7421
O 10.2127 -1.3945 1.1584
```

Properties
- Space group: No. 15

Entry 4:
## Be2Mo (PBE-GGA)

Data for Be2Mo after structural relaxation.

Cell and atoms, written as extended XYZ:
```
12
Lattice="4.4507 0.0000 0.0000 -2.2253 3.8544 0.0000 0.0000 0.0000 7.3016" Properties=species:S:1:pos:R:3 pbc="T T T"
Be 0.0000 0.0000 0.0000
Be 0.0000 0.0000 3.6508
Be 0.0000 1.3056 1.8254
Be -1.0946 3.2016 1.8254
Be 1.1307 0.6528 5.4762
Be 1.0946 3.2016 1.8254
Be 3.3200 0.6528 5.4762
Be 2.2253 2.5488 5.4762
Mo 0.0000 2.5696 4.1134
Mo 0.0000 2.5696 6.8390
Mo 2.2253 1.2848 0.4626
Mo 2.2253 1.2848 3.1882
```

Properties
- Space group: No. 194

Entry 5:
## SrRuO3 (PBE-GGA)

Data for SrRuO3 after structural relaxation.

Cell and atoms, written as extended XYZ:
```
10
Lattice="-2.7934 3.9469 2.8559 2.7934 -3.9469 2.8559 2.7934 3.9469 -2.8559" Properties=species:S:1:pos:R:3 pbc="T T T"
Sr 0.0000 1.9734 0.0288
Sr 2.7934 1.9734 2.8272
Ru 2.7934 0.0000 0.0000
Ru 0.0000 0.0000 2.8559
O 2.7934 1.9734 -0.4104
O 1.3967 4.2597 -1.4280
O 1.3967 0.3129 1.4280
O -1.3967 3.6340 1.4280
O 1.3967 3.6340 1.4280
O 0.0000 1.9734 3.2663
```

Properties
- Space group: No. 74

Entry 6:
## U3O10 (PBE-GGA)

Data for U3O10 after structural relaxation.

Cell and atoms, written as extended XYZ:
```
52
Lattice="5.8573 0.0000 0.0000 0.0000 19.8588 0.0000 -2.8921 0.0000 7.7106" Properties=species:S:1:pos:R:3 pbc="T T T"
U 0.3770 1.2339 1.9847
U -1.0691 8.6955 5.8400
U -0.8369 4.6332 5.9468
U 0.6092 5.2962 2.0915
U -0.6463 12.8333 6.5280
U 0.7998 16.9549 2.6727
U 2.1655 2.9039 5.0379
U 3.6115 7.0255 1.1826
U 2.3561 14.5626 5.6191
U 3.8021 15.2256 1.7638
U 4.0343 11.1634 1.8706
U 2.5883 18.6249 5.7259
O -2.4825 13.5944 7.2021
O -1.0364 16.1938 3.3468
O -1.5754 13.7597 4.9654
O -0.1294 16.0286 1.1101
O -0.1199 3.6037 1.7575
O -1.5660 6.3257 5.6128
O -0.2803 10.8949 2.9173
O -1.7263 18.8933 6.7726
O -0.4517 1.0431 3.6225
O -1.8978 8.8863 7.4778
O -0.8698 10.9955 5.8571
O 0.5762 18.7928 2.0018
O 1.4981 1.4242 0.5383
O 0.0520 8.5052 4.3936
O 0.1917 3.0591 6.2801
O 1.6377 6.8704 2.4248
O 1.0222 4.5895 4.3577
O 2.4683 5.3399 0.5024
O 2.4876 12.0518 0.7274
O 1.0416 17.7364 4.5827
O 1.9237 2.1224 3.1279
O 0.4776 7.8070 6.9832
O 0.4970 14.5189 7.2082
O 1.9430 15.2693 3.3529
O 1.3276 12.9885 5.2857
O 2.7736 16.7998 1.4304
O 2.9132 11.3536 3.3170
O 1.4672 18.4346 7.1723
O 2.3891 1.0660 5.7088
O 3.8351 8.8634 1.8535
O 4.8630 10.9725 0.2328
O 3.4170 18.8157 4.0881
O 4.6916 0.9655 0.9380
O 3.2456 8.9639 4.7933
O 4.5312 13.5331 2.0978
O 3.0852 16.2551 5.9531
O 3.0947 3.8303 6.6005
O 4.5407 6.0992 2.7452
O 4.0017 3.6650 4.3637
O 5.4477 6.2644 0.5085
```

Properties
- Energy above the lowest structure with this stoichiometry: 102.8 meV per atom
- Space group: No. 14

Entry 7:
## Na2ZnSnP2SO12 (PBE-GGA)

Data for Na2ZnSnP2SO12 after structural relaxation.

Cell and atoms, written as extended XYZ:
```
114
Lattice="8.8828 0.0000 0.0000 -4.4414 7.6402 0.0090 0.0000 0.0277 22.4702" Properties=species:S:1:pos:R:3 pbc="T T T"
Zn -0.0303 5.0773 11.6211
O 0.9493 6.3510 16.9535
P 6.2482 0.0531 16.8848
O 7.8575 1.4833 6.9897
O 0.7302 1.5529 9.2494
Sn 4.4723 2.6186 10.8770
O -3.2844 6.2461 15.6292
P 1.8068 2.5814 1.9077
O 3.2844 1.1480 11.8782
Na 4.3624 7.4843 22.3399
O 5.0466 6.2444 2.0070
Na 4.5205 7.4704 11.1048
Zn 4.4111 2.5213 4.1280
O 3.2844 6.2323 4.3941
P 1.3099 2.2833 16.9581
O 5.1314 4.1779 0.6815
O 1.5951 5.2728 5.7305
O 0.9493 1.2391 1.9674
O 5.4668 4.0254 3.2476
O 2.8129 2.5338 16.7938
Na 1.5936 2.2947 20.4693
O 0.6051 3.7161 16.9841
O -0.6900 1.6358 4.4236
Zn 4.4111 7.6332 19.1141
O 2.6340 7.3340 15.5728
P -1.3100 7.3814 20.7091
O 3.5431 1.2383 5.4779
Sn -0.0309 5.1608 7.1350
O 1.1570 3.6902 8.1362
O 3.4161 4.0392 14.4827
O 3.4921 3.8089 20.6955
O 1.7256 0.1550 6.8462
Zn 4.4717 2.5351 15.3631
P 2.6346 0.0393 5.6497
Zn 0.0303 5.0634 0.3860
O 1.0254 6.5813 10.7407
P 3.1315 4.8254 13.2160
O 5.2208 6.0715 18.0567
O 3.7112 4.0950 5.5073
S 5.7958 0.3171 1.8985
O -2.8129 7.6318 20.5448
O 7.2877 0.1748 1.9795
O 3.7514 4.1918 11.9166
P 5.7514 4.8116 1.9809
O 5.0466 1.1601 9.4911
O 1.5951 0.1886 13.2146
S 3.0871 0.3309 13.1336
O 0.7793 3.5155 10.5637
O 5.5984 1.1342 0.6431
O 1.8075 4.7919 19.3149
O 3.8363 1.1740 20.7262
S 1.3543 2.8731 9.3916
Sn 0.0309 0.0627 3.3840
S 3.0871 5.4152 5.6495
O 3.8363 6.2582 13.2421
O 3.6621 6.0576 6.8216
O -0.8983 3.7942 12.9709
O 3.6621 0.9734 14.3057
P -1.3100 2.2695 5.7230
O -1.7257 5.2531 10.5972
O 5.1717 4.1088 16.7424
O 7.1572 0.1689 18.0812
Na 0.0790 4.9145 3.6118
O -2.6340 7.3202 4.3377
O 5.3397 1.2521 16.7130
O 1.7256 5.2669 21.8322
O 0.6900 6.7339 8.1746
Sn 0.0309 5.1746 18.3701
O 2.8129 7.6180 9.3098
Na 1.5936 7.3789 12.9852
O 2.7158 2.6972 3.1041
Na -1.5936 7.3651 1.7502
O 6.1671 2.7110 14.3392
O 6.2489 2.2360 11.8218
S -1.3543 2.8869 20.6266
O 7.9335 1.2529 13.2025
P 2.6346 5.1512 20.6358
O 5.2208 0.9596 3.0706
O 6.0699 2.5199 5.5588
Na -0.0790 4.9283 14.8468
O 6.0365 2.7446 20.7076
S -3.0871 5.4290 16.8846
O -1.1570 3.7040 19.3712
Sn 4.4106 2.6325 22.1121
O -1.5951 5.2867 16.9656
Na 6.0350 4.8230 5.4922
O -1.8075 4.7781 8.0798
P 7.0760 2.5952 13.1428
O -0.6900 6.7477 19.4096
Zn -4.4111 7.6194 7.8790
P 1.3099 7.3675 9.4740
O -1.6285 5.0621 1.8167
O 5.3907 3.7950 9.4604
Na 4.3624 2.3724 7.3538
O 1.6285 5.0759 13.0518
O 2.8463 2.7307 9.4725
Na 2.8478 4.8368 16.7273
O 0.6900 1.6497 15.6586
O 0.7302 6.6371 1.7653
O -0.7794 3.5293 21.7988
O -0.9493 6.3372 5.7184
O -3.5431 6.3364 9.2289
O 3.5431 6.3502 20.4640
O 0.8983 3.7804 1.7359
Na 4.5205 2.3862 18.5889
O -0.6052 3.7023 5.7491
Sn -0.0309 0.0765 14.6191
O 1.0254 1.4971 18.2248
O -1.0254 6.5952 21.9758
O 2.6340 2.2221 0.5867
O -0.7302 1.5667 20.4844
P -2.6346 5.1373 9.4007
O -0.7302 6.6509 13.0004
Na 7.2892 2.2809 9.2343
```

Entry 8:
## LiMg6Ga (PBE-GGA)

Data for LiMg6Ga after structural relaxation.

Cell and atoms, written as extended XYZ:
```
8
Lattice="5.0613 0.0000 0.0000 0.0000 3.1083 5.3927 0.0000 -3.1083 5.3927" Properties=species:S:1:pos:R:3 pbc="T T T"
Li 0.0000 0.0000 0.0000
Mg 0.0000 0.0000 5.4154
Mg 0.0000 -1.5294 8.1200
Mg 0.0000 1.5294 8.1200
Mg 2.5306 -1.5632 6.2945
Mg 2.5306 0.0000 3.6198
Mg 2.5306 1.5632 6.2945
Ga 2.5306 0.0000 9.0141
```

Properties
- Energy above the lowest structure with this stoichiometry: 0.0 meV per atom
- Space group: No. 38

Entry 9:
## Ca2VN2 (PBE-GGA)

Data for Ca2VN2 after structural relaxation.

Cell and atoms, written as extended XYZ:
```
10
Lattice="5.4671 -2.5378 0.0000 5.4671 2.5378 0.0000 -3.1053 0.0000 5.9079" Properties=species:S:1:pos:R:3 pbc="T T T"
Ca -0.5063 0.0000 1.5912
Ca 0.7556 0.0000 5.2408
Ca 7.0734 0.0000 0.6671
Ca 8.3353 0.0000 4.3168
V 2.8227 0.0000 2.1954
V 5.0062 0.0000 3.7125
N 1.7080 0.0000 0.7440
N 3.1999 0.0000 4.1656
N 4.6290 0.0000 1.7423
N 6.1209 0.0000 5.1639
```

Properties
- Space group: No. 12

Entry 10:
## Nd2Co3 (PBE-GGA)

Data for Nd2Co3 after structural relaxation.

Cell and atoms, written as extended XYZ:
```
10
Lattice="2.4491 -5.0566 0.0000 2.4491 5.0566 0.0000 0.0000 0.0000 7.5078" Properties=species:S:1:pos:R:3 pbc="T T T"
Nd 2.4491 3.4820 6.8112
Nd 2.4491 1.5746 3.0573
Nd 2.4491 -1.5746 4.4505
Nd 2.4491 -3.4820 0.6966
Co 0.0000 0.0000 3.7539
Co 1.2246 0.8877 5.6309
Co 1.2246 -0.8877 1.8770
Co 2.4491 0.0000 0.0000
Co 3.6737 0.8877 5.6309
Co 3.6737 -0.8877 1.8770
```

Properties
- Space group: No. 64

Entry 11:
## Cs2Se (PBE-GGA)

Data for Cs2Se after structural relaxation.

Cell and atoms, written as extended XYZ:
```
6
Lattice="0.0000 10.6347 2.7940 5.2146 0.0000 2.7940 5.2146 10.6347 0.0000" Properties=species:S:1:pos:R:3 pbc="T T T"
Cs 6.0184 6.6626 2.7940
Cs 7.0182 11.9800 4.1910
Cs 4.4109 14.6068 2.7940
Cs 3.4111 9.2894 4.1910
Se 5.2146 10.6347 1.4921
Se 7.8219 15.9521 2.8891
```

Properties
- Energy above the lowest structure with this stoichiometry: 75.1 meV per atom
- Space group: No. 43
- Largest piezoelectric modulus: 0.22 C/m²

no.,energy relative to the elements (eV/f.u.)
1,-9.8
2,-8.8
3,-25.5
4,-1.0
5,-10.9
6,-39.7
7,-43.6
8,-0.5
9,-5.2
10,-0.3
11,-3.4